Entry 1:
VASP calculation (meta-GGA r2SCAN) on AcAg2Sn after structural relaxation.

## Properties
Spin magnetization   0.00 Bohr magnetons per cell
ΔE_f   -357 meV/atom
SG   Fm-3m

a = 5.225 Å, b = 5.225 Å, c = 5.225 Å
α = 60.00°, β = 60.00°, γ = 60.00°
Fractional coordinates of all 4 atoms:
Ac1 0.250 0.250 0.250
Ag1 0.500 0.500 0.500
Ag2 0.000 0.000 0.000
Sn1 0.750 0.750 0.750

=====

Entry 2:
VASP calculation (meta-GGA r2SCAN) on CoTe6O13 after structural relaxation.

## Properties
Spin magnetization   6.00 Bohr magnetons per cell
ΔE_f   -1118 meV/atom
SG   P1

a = 8.630 Å, b = 8.661 Å, c = 8.640 Å
α = 71.81°, β = 72.00°, γ = 71.84°
Fractional coordinates of all 40 atoms:
O1 0.299 0.552 0.804
O2 0.113 0.874 0.802
O3 0.133 0.045 0.383
O4 0.954 0.619 0.865
O5 0.801 0.114 0.875
O6 0.196 0.700 0.449
O7 0.886 0.125 0.199
O8 0.199 0.887 0.127
O9 0.380 0.136 0.046
O10 0.863 0.954 0.620
O11 0.414 0.414 0.413
O12 0.617 0.869 0.955
O13 0.701 0.449 0.196
O14 0.586 0.587 0.586
O15 0.551 0.805 0.299
O16 0.603 0.896 0.578
O17 0.046 0.381 0.134
O18 0.424 0.398 0.103
O19 0.804 0.299 0.551
O20 0.396 0.105 0.420
O21 0.125 0.199 0.887
O22 0.448 0.195 0.701
O23 0.105 0.421 0.395
O24 0.874 0.801 0.113
O25 0.897 0.577 0.602
O26 0.580 0.605 0.895
Te1 0.167 0.485 0.561
Te2 0.027 0.919 0.326
Te3 0.972 0.080 0.675
Te4 0.562 0.165 0.487
Te5 0.438 0.833 0.514
Te6 0.080 0.675 0.973
Te7 0.325 0.027 0.921
Te8 0.834 0.513 0.437
Te9 0.920 0.324 0.028
Te10 0.515 0.441 0.833
Te11 0.675 0.973 0.080
Te12 0.486 0.562 0.168
Co1 0.757 0.754 0.757
Co2 0.246 0.243 0.242

=====

Entry 3:
VASP calculation (meta-GGA r2SCAN) on Mg15Bi after structural relaxation.

## Properties
Spin magnetization   0.00 Bohr magnetons per cell
ΔE_f   -5 meV/atom
SG   P-6m2

a = 6.391 Å, b = 6.391 Å, c = 10.319 Å
α = 90.00°, β = 90.00°, γ = 120.00°
Fractional coordinates of all 16 atoms:
Mg1 0.000 0.000 0.750
Mg2 0.000 0.000 0.250
Mg3 0.497 0.994 0.746
Mg4 0.006 0.503 0.254
Mg5 0.167 0.833 0.500
Mg6 0.497 0.994 0.254
Mg7 0.666 0.833 0.500
Mg8 0.497 0.503 0.746
Mg9 0.667 0.833 0.000
Mg10 0.006 0.503 0.746
Mg11 0.167 0.334 0.500
Mg12 0.497 0.503 0.254
Mg13 0.167 0.833 0.000
Mg14 0.167 0.333 0.000
Mg15 0.667 0.333 0.500
Bi1 0.667 0.333 0.000

=====

Entry 4:
VASP calculation (meta-GGA r2SCAN) on VCrO4 after structural relaxation.

## Properties
Spin magnetization   12.00 Bohr magnetons per cell
ΔE_f   -2460 meV/atom
SG   C2/m

a = 6.596 Å, b = 6.596 Å, c = 6.829 Å
α = 77.06°, β = 77.06°, γ = 84.12°
Fractional coordinates of all 24 atoms:
O1 0.500 0.793 0.889
O2 0.206 0.206 0.862
O3 0.861 0.861 0.541
O4 0.207 0.500 0.111
O5 0.893 0.198 0.202
O6 0.794 0.794 0.138
O7 0.139 0.139 0.459
O8 0.107 0.802 0.798
O9 0.793 0.500 0.889
O10 0.500 0.207 0.111
O11 0.474 0.796 0.473
O12 0.526 0.204 0.527
O13 0.796 0.474 0.473
O14 0.204 0.526 0.527
O15 0.198 0.893 0.202
O16 0.802 0.107 0.798
Cr1 0.202 0.202 0.143
Cr2 0.820 0.180 0.500
Cr3 0.798 0.798 0.857
Cr4 0.180 0.820 0.500
V1 0.727 0.727 0.398
V2 0.273 0.273 0.602
V3 0.251 0.749 0.000
V4 0.749 0.251 0.000

=====

Entry 5:
VASP calculation (meta-GGA r2SCAN) on CsPO3 after structural relaxation.

## Properties
Spin magnetization   0.00 Bohr magnetons per cell
ΔE_f   -2470 meV/atom
SG   P2_1/c

a = 4.305 Å, b = 6.813 Å, c = 13.805 Å
α = 66.40°, β = 90.00°, γ = 90.00°
Fractional coordinates of all 20 atoms:
P1 0.992 0.868 0.318
P2 0.508 0.868 0.818
P3 0.008 0.132 0.682
P4 0.492 0.132 0.182
O1 0.151 0.127 0.586
O2 0.136 0.668 0.320
O3 0.651 0.873 0.914
O4 0.636 0.332 0.180
O5 0.864 0.332 0.680
O6 0.349 0.127 0.086
O7 0.257 0.061 0.778
O8 0.757 0.939 0.722
O9 0.849 0.873 0.414
O10 0.364 0.668 0.820
O11 0.743 0.939 0.222
O12 0.243 0.061 0.278
Cs1 0.868 0.315 0.910
Cs2 0.368 0.685 0.590
Cs3 0.132 0.685 0.090
Cs4 0.632 0.315 0.410

=====

Entry 6:
VASP calculation (meta-GGA r2SCAN) on CeB2Os2 after structural relaxation.

## Properties
Spin magnetization   1.08 Bohr magnetons per cell
ΔE_f   -558 meV/atom
SG   Fddd

a = 6.749 Å, b = 6.011 Å, c = 5.596 Å
α = 71.01°, β = 57.36°, γ = 51.62°
Fractional coordinates of all 10 atoms:
Os1 0.888 0.888 0.612
Os2 0.612 0.612 0.888
Os3 0.362 0.362 0.638
Os4 0.638 0.638 0.362
B1 0.566 0.934 0.566
B2 0.934 0.566 0.934
B3 0.684 0.316 0.684
B4 0.316 0.684 0.316
Ce1 0.250 0.250 0.250
Ce2 0.000 0.000 0.000

=====

| no. | electronic total energy (eV per formula unit) |
| --- | --- |
| 1 | -137.52 |
| 2 | -265.74 |
| 3 | -121.12 |
| 4 | -67.81 |
| 5 | -64.38 |
| 6 | -154.30 |